First-principles (r²SCAN) data for crystalline Cs3TmO3 at its relaxed geometry, as listed in Materials Project.

abc: 8.177 7.506 12.062
angles: 90.00 95.35 90.00
Positions (direct):
1 Cs 0.058 0.122 0.156
2 Cs 0.058 0.378 0.656
3 Cs 0.352 0.161 0.923
4 Cs 0.352 0.339 0.423
5 Cs 0.379 0.681 0.809
6 Cs 0.379 0.819 0.309
7 Cs 0.621 0.181 0.691
8 Cs 0.621 0.319 0.191
9 Cs 0.648 0.661 0.577
10 Cs 0.648 0.839 0.077
11 Cs 0.942 0.622 0.344
12 Cs 0.942 0.878 0.844
13 Tm 0.155 0.586 0.068
14 Tm 0.155 0.914 0.568
15 Tm 0.845 0.086 0.432
16 Tm 0.845 0.414 0.932
17 O 0.104 0.054 0.414
18 O 0.104 0.446 0.914
19 O 0.245 0.658 0.547
20 O 0.245 0.842 0.047
21 O 0.294 0.053 0.691
22 O 0.294 0.447 0.191
23 O 0.706 0.553 0.809
24 O 0.706 0.947 0.309
25 O 0.755 0.158 0.953
26 O 0.755 0.342 0.453
27 O 0.896 0.554 0.086
28 O 0.896 0.946 0.586

Calculated volume: 184.26 Å³/f.u.
Space-group type: No. 14
DFT total energy: -20.50 eV/atom
Distance to the lowest polymorph of the same formula: 0.0 kJ/mol of atoms
ΔE_f: -15.17 eV per formula unit

***

First-principles (r²SCAN) data for crystalline Rb3DyO3 at its relaxed geometry, as listed in Materials Project.

abc: 7.820 7.310 11.656
angles: 90.00 93.57 90.00
Positions (direct):
1 Rb 0.077 0.126 0.158
2 Rb 0.077 0.374 0.658
3 Rb 0.360 0.165 0.920
4 Rb 0.360 0.335 0.420
5 Rb 0.374 0.700 0.810
6 Rb 0.374 0.800 0.310
7 Rb 0.626 0.200 0.690
8 Rb 0.626 0.300 0.190
9 Rb 0.640 0.665 0.580
10 Rb 0.640 0.835 0.080
11 Rb 0.923 0.626 0.342
12 Rb 0.923 0.874 0.842
13 Dy 0.162 0.591 0.069
14 Dy 0.162 0.909 0.569
15 Dy 0.838 0.091 0.431
16 Dy 0.838 0.409 0.931
17 O 0.112 0.049 0.404
18 O 0.112 0.451 0.904
19 O 0.259 0.643 0.548
20 O 0.259 0.857 0.048
21 O 0.310 0.058 0.692
22 O 0.310 0.442 0.192
23 O 0.690 0.558 0.808
24 O 0.690 0.942 0.308
25 O 0.741 0.143 0.952
26 O 0.741 0.357 0.452
27 O 0.888 0.549 0.096
28 O 0.888 0.951 0.596

Calculated volume: 166.26 Å³/f.u.
Space-group type: No. 14
DFT total energy: -15.22 eV/atom
ΔE_f: -14.86 eV per formula unit

***

First-principles (r²SCAN) data for crystalline VOF at its relaxed geometry, as listed in Materials Project.

abc: 12.314 4.620 4.620
angles: 90.22 90.00 90.00
Positions (direct):
1 V 0.000 0.000 0.000
2 V 0.125 0.500 0.441
3 V 0.250 0.928 0.951
4 V 0.375 0.500 0.441
5 V 0.500 0.000 0.000
6 V 0.625 0.441 0.500
7 V 0.750 0.951 0.928
8 V 0.875 0.441 0.500
9 O 0.000 0.286 0.286
10 O 0.125 0.785 0.154
11 O 0.250 0.664 0.649
12 O 0.375 0.785 0.154
13 O 0.500 0.286 0.286
14 O 0.625 0.154 0.785
15 O 0.750 0.649 0.664
16 O 0.875 0.154 0.785
17 F 0.000 0.679 0.679
18 F 0.125 0.180 0.764
19 F 0.250 0.279 0.240
20 F 0.375 0.180 0.764
21 F 0.500 0.679 0.679
22 F 0.625 0.764 0.180
23 F 0.750 0.240 0.279
24 F 0.875 0.764 0.180

Calculated volume: 32.85 Å³/f.u.
Space-group type: No. 40
DFT total energy: -10.65 eV/atom
ΔE_f: -8.78 eV per formula unit

***

First-principles (r²SCAN) data for crystalline Mg3P4H28N2O24 at its relaxed geometry, as listed in Materials Project.

abc: 6.671 7.568 10.684
angles: 105.44 96.78 98.00
Positions (direct):
1 Mg 0.000 0.000 0.000
2 Mg 0.339 0.764 0.599
3 Mg 0.661 0.236 0.401
4 P 0.201 0.303 0.468
5 P 0.249 0.659 0.871
6 P 0.751 0.341 0.129
7 P 0.799 0.697 0.532
8 H 0.016 0.773 0.723
9 H 0.101 0.818 0.414
10 H 0.156 0.378 0.730
11 H 0.175 0.436 0.177
12 H 0.184 0.270 0.908
13 H 0.267 0.051 0.234
14 H 0.290 0.880 0.115
15 H 0.298 0.118 0.655
16 H 0.298 0.963 0.416
17 H 0.300 0.634 0.290
18 H 0.320 0.067 0.786
19 H 0.342 0.587 0.132
20 H 0.378 0.216 0.977
21 H 0.426 0.457 0.229
22 H 0.574 0.543 0.771
23 H 0.622 0.784 0.023
24 H 0.658 0.413 0.868
25 H 0.680 0.933 0.214
26 H 0.700 0.366 0.710
27 H 0.702 0.037 0.584
28 H 0.702 0.882 0.345
29 H 0.710 0.120 0.885
30 H 0.733 0.949 0.766
31 H 0.816 0.730 0.092
32 H 0.825 0.564 0.823
33 H 0.844 0.622 0.270
34 H 0.899 0.182 0.586
35 H 0.984 0.227 0.277
36 N 0.312 0.529 0.208
37 N 0.688 0.471 0.792
38 O 0.015 0.774 0.629
39 O 0.065 0.762 0.872
40 O 0.155 0.442 0.827
41 O 0.156 0.256 0.593
42 O 0.200 0.968 0.148
43 O 0.229 0.171 0.943
44 O 0.253 0.838 0.427
45 O 0.262 0.506 0.482
46 O 0.352 0.187 0.404
47 O 0.373 0.703 0.008
48 O 0.374 0.047 0.704
49 O 0.379 0.694 0.770
50 O 0.621 0.306 0.230
51 O 0.626 0.953 0.296
52 O 0.627 0.297 0.992
53 O 0.648 0.813 0.596
54 O 0.738 0.494 0.518
55 O 0.747 0.162 0.573
56 O 0.771 0.829 0.057
57 O 0.800 0.032 0.852
58 O 0.844 0.744 0.407
59 O 0.845 0.558 0.173
60 O 0.935 0.238 0.128
61 O 0.985 0.226 0.371

Calculated volume: 507.99 Å³/f.u.
Space-group type: No. 2
DFT total energy: -6.58 eV/atom
ΔE_f: -94.34 eV per formula unit

***

First-principles (r²SCAN) data for crystalline LiVO3 at its relaxed geometry, as listed in Materials Project.

abc: 6.608 6.608 5.835
angles: 106.60 106.60 78.11
Positions (direct):
1 Li 0.080 0.920 0.750
2 Li 0.277 0.723 0.250
3 Li 0.723 0.277 0.750
4 Li 0.920 0.080 0.250
5 V 0.189 0.380 0.764
6 V 0.380 0.189 0.264
7 V 0.620 0.811 0.736
8 V 0.811 0.620 0.236
9 O 0.001 0.778 0.338
10 O 0.077 0.627 0.777
11 O 0.222 0.999 0.162
12 O 0.321 0.384 0.080
13 O 0.373 0.923 0.723
14 O 0.384 0.321 0.580
15 O 0.616 0.679 0.420
16 O 0.627 0.077 0.277
17 O 0.679 0.616 0.920
18 O 0.778 0.001 0.838
19 O 0.923 0.373 0.223
20 O 0.999 0.222 0.662

Calculated volume: 57.96 Å³/f.u.
Space-group type: No. 15
DFT total energy: -9.39 eV/atom
ΔE_f: -12.54 eV per formula unit

***

First-principles (r²SCAN) data for crystalline ThBi at its relaxed geometry, as listed in Materials Project.

abc: 3.944 3.944 3.944
angles: 90.00 90.00 90.00
Positions (direct):
1 Th 0.000 0.000 0.000
2 Bi 0.500 0.500 0.500

Calculated volume: 61.33 Å³/f.u.
Space-group type: No. 221
DFT total energy: -66.62 eV/atom
ΔE_f: -1.26 eV per formula unit

***

First-principles (r²SCAN) data for crystalline NaNb10O18 at its relaxed geometry, as listed in Materials Project.

abc: 7.920 9.412 10.394
angles: 90.00 110.52 90.00
Positions (direct):
1 Na 0.000 0.000 0.000
2 Na 0.000 0.500 0.500
3 Nb 0.004 0.116 0.668
4 Nb 0.004 0.384 0.168
5 Nb 0.180 0.630 0.122
6 Nb 0.180 0.870 0.622
7 Nb 0.196 0.127 0.482
8 Nb 0.196 0.373 0.982
9 Nb 0.395 0.113 0.272
10 Nb 0.395 0.387 0.772
11 Nb 0.397 0.629 0.440
12 Nb 0.397 0.871 0.940
13 Nb 0.603 0.129 0.060
14 Nb 0.603 0.371 0.560
15 Nb 0.605 0.613 0.228
16 Nb 0.605 0.887 0.728
17 Nb 0.804 0.627 0.018
18 Nb 0.804 0.873 0.518
19 Nb 0.820 0.130 0.378
20 Nb 0.820 0.370 0.878
21 Nb 0.996 0.616 0.832
22 Nb 0.996 0.884 0.332
23 O 0.009 0.239 0.849
24 O 0.009 0.261 0.349
25 O 0.197 0.747 0.461
26 O 0.197 0.753 0.961
27 O 0.199 0.006 0.302
28 O 0.199 0.494 0.802
29 O 0.201 0.512 0.304
30 O 0.201 0.988 0.804
31 O 0.203 0.247 0.146
32 O 0.203 0.253 0.646
33 O 0.395 0.008 0.099
34 O 0.395 0.492 0.599
35 O 0.400 0.504 0.107
36 O 0.400 0.996 0.607
37 O 0.412 0.735 0.274
38 O 0.412 0.765 0.774
39 O 0.416 0.244 0.431
40 O 0.416 0.256 0.931
41 O 0.584 0.744 0.069
42 O 0.584 0.756 0.569
43 O 0.588 0.235 0.226
44 O 0.588 0.265 0.726
45 O 0.600 0.004 0.393
46 O 0.600 0.496 0.893
47 O 0.605 0.508 0.401
48 O 0.605 0.992 0.901
49 O 0.797 0.747 0.354
50 O 0.797 0.753 0.854
51 O 0.799 0.012 0.196
52 O 0.799 0.488 0.696
53 O 0.801 0.506 0.198
54 O 0.801 0.994 0.698
55 O 0.803 0.247 0.039
56 O 0.803 0.253 0.539
57 O 0.991 0.739 0.651
58 O 0.991 0.761 0.151

Calculated volume: 362.83 Å³/f.u.
Space-group type: No. 14
DFT total energy: -14.92 eV/atom
ΔE_f: -74.33 eV per formula unit

***

First-principles (r²SCAN) data for crystalline TmLuIr2 at its relaxed geometry, as listed in Materials Project.

abc: 4.728 4.728 4.728
angles: 60.00 60.00 60.00
Positions (direct):
1 Tm 0.000 0.000 0.000
2 Lu 0.500 0.500 0.500
3 Ir 0.250 0.250 0.250
4 Ir 0.750 0.750 0.750

Calculated volume: 74.72 Å³/f.u.
Space-group type: No. 225
DFT total energy: -45.56 eV/atom
ΔE_f: -4.33 eV per formula unit

***

First-principles (r²SCAN) data for crystalline YbFeC6N6O4 at its relaxed geometry, as listed in Materials Project.

abc: 7.390 7.390 12.937
angles: 90.00 90.00 120.32
Positions (direct):
1 Yb 0.167 0.833 0.750
2 Yb 0.833 0.167 0.250
3 Fe 0.500 0.500 0.000
4 Fe 0.500 0.500 0.500
5 C 0.256 0.376 0.084
6 C 0.256 0.376 0.416
7 C 0.376 0.256 0.584
8 C 0.376 0.256 0.916
9 C 0.377 0.623 0.582
10 C 0.377 0.623 0.918
11 C 0.623 0.377 0.082
12 C 0.623 0.377 0.418
13 C 0.624 0.744 0.084
14 C 0.624 0.744 0.416
15 C 0.744 0.624 0.584
16 C 0.744 0.624 0.916
17 N 0.110 0.303 0.138
18 N 0.110 0.303 0.362
19 N 0.303 0.110 0.638
20 N 0.303 0.110 0.862
21 N 0.304 0.696 0.636
22 N 0.304 0.696 0.864
23 N 0.696 0.304 0.136
24 N 0.696 0.304 0.364
25 N 0.697 0.890 0.138
26 N 0.697 0.890 0.362
27 N 0.890 0.697 0.638
28 N 0.890 0.697 0.862
29 O 0.061 0.664 0.250
30 O 0.172 0.828 0.172
31 O 0.172 0.828 0.328
32 O 0.336 0.939 0.250
33 O 0.664 0.061 0.750
34 O 0.828 0.172 0.672
35 O 0.828 0.172 0.828
36 O 0.939 0.336 0.750

Calculated volume: 304.94 Å³/f.u.
Space-group type: No. 63
DFT total energy: -10.35 eV/atom
ΔE_f: 2.90 eV per formula unit

***

First-principles (r²SCAN) data for crystalline K3FeS3 at its relaxed geometry, as listed in Materials Project.

abc: 7.721 12.545 10.122
angles: 90.00 127.50 90.00
Positions (direct):
1 K 0.120 0.129 0.476
2 K 0.120 0.371 0.976
3 K 0.147 0.080 0.891
4 K 0.147 0.420 0.391
5 K 0.367 0.690 0.579
6 K 0.367 0.810 0.079
7 K 0.633 0.190 0.921
8 K 0.633 0.310 0.421
9 K 0.853 0.580 0.609
10 K 0.853 0.920 0.109
11 K 0.880 0.629 0.024
12 K 0.880 0.871 0.524
13 Fe 0.437 0.058 0.338
14 Fe 0.437 0.442 0.838
15 Fe 0.563 0.558 0.162
16 Fe 0.563 0.942 0.662
17 S 0.151 0.170 0.187
18 S 0.151 0.330 0.687
19 S 0.352 0.610 0.880
20 S 0.352 0.890 0.380
21 S 0.374 0.547 0.261
22 S 0.374 0.953 0.761
23 S 0.626 0.047 0.239
24 S 0.626 0.453 0.739
25 S 0.648 0.110 0.620
26 S 0.648 0.390 0.120
27 S 0.849 0.670 0.313
28 S 0.849 0.830 0.813

Calculated volume: 194.47 Å³/f.u.
Space-group type: No. 14
DFT total energy: -9.24 eV/atom
ΔE_f: -8.09 eV per formula unit

***

First-principles (r²SCAN) data for crystalline LaTb3 at its relaxed geometry, as listed in Materials Project.

abc: 7.374 7.374 5.895
angles: 90.00 90.00 120.00
Positions (direct):
1 La 0.333 0.667 0.250
2 La 0.667 0.333 0.750
3 Tb 0.162 0.325 0.750
4 Tb 0.162 0.838 0.750
5 Tb 0.325 0.162 0.250
6 Tb 0.675 0.838 0.750
7 Tb 0.838 0.162 0.250
8 Tb 0.838 0.675 0.250

Calculated volume: 138.80 Å³/f.u.
Space-group type: No. 194
DFT total energy: -30.84 eV/atom
ΔE_f: 0.07 eV per formula unit

***

First-principles (r²SCAN) data for crystalline Li3Ag at its relaxed geometry, as listed in Materials Project.

abc: 5.757 5.757 4.610
angles: 90.00 90.00 120.00
Positions (direct):
1 Li 0.173 0.346 0.250
2 Li 0.173 0.827 0.250
3 Li 0.346 0.173 0.750
4 Li 0.654 0.827 0.250
5 Li 0.827 0.173 0.750
6 Li 0.827 0.654 0.750
7 Ag 0.333 0.667 0.750
8 Ag 0.667 0.333 0.250

Calculated volume: 66.15 Å³/f.u.
Space-group type: No. 194
DFT total energy: -7.25 eV/atom
Distance to the lowest polymorph of the same formula: 0.5 kJ/mol of atoms
ΔE_f: -0.47 eV per formula unit